(one)
Density functional theory data (PBE-GGA) for a relaxed structure of Dy10Ti6O27.

Theoretical density: 7.01 Mg/m³
Size of the total moment: 0.01 μB per formula unit
Crystal system: monoclinic
Volume: 12.9 A^3/atom

Structure (CIF):
```
data_Dy10Ti6O27
_symmetry_space_group_name_H-M 'P 1'
_symmetry_Int_Tables_number 1
_cell_length_a 7.294
_cell_length_b 7.294
_cell_length_c 24.269
_cell_angle_alpha 81.98
_cell_angle_beta 81.98
_cell_angle_gamma 60.59
loop_
_symmetry_equiv_pos_as_xyz
'x,y,z'
loop_
_atom_site_label
_atom_site_type_symbol
_atom_site_fract_x
_atom_site_fract_y
_atom_site_fract_z
O1 O 0.901 0.561 0.079
Dy1 Dy 0.652 0.115 0.634
O2 O 0.516 0.043 0.410
O3 O 0.401 0.977 0.577
Dy2 Dy 0.733 0.733 0.756
Ti1 Ti 0.141 0.141 0.616
Dy3 Dy 0.998 0.998 0.998
Dy4 Dy 0.378 0.864 0.373
O4 O 0.829 0.829 0.978
O5 O 0.731 0.198 0.335
Ti2 Ti 0.510 0.510 0.993
Dy5 Dy 0.621 0.621 0.638
O6 O 0.226 0.226 0.010
O7 O 0.388 0.946 0.282
O8 O 0.030 0.659 0.208
Dy6 Dy 0.864 0.378 0.373
O9 O 0.616 0.206 0.016
Dy7 Dy 0.627 0.149 0.113
Dy8 Dy 0.383 0.383 0.364
Dy9 Dy 0.253 0.253 0.751
O10 O 0.279 0.279 0.654
O11 O 0.164 0.641 0.540
Ti3 Ti 0.496 0.001 0.492
O12 O 0.043 0.043 0.411
O13 O 0.276 0.823 0.668
Dy10 Dy 0.900 0.389 0.880
Ti4 Ti 0.378 0.378 0.874
O14 O 0.245 0.245 0.844
O15 O 0.306 0.804 0.145
O16 O 0.376 0.840 0.485
Dy11 Dy 0.986 0.986 0.506
O17 O 0.257 0.632 0.828
Ti5 Ti 0.756 0.756 0.246
O18 O 0.946 0.388 0.282
O19 O 0.605 0.111 0.730
O20 O 0.823 0.276 0.668
O21 O 0.198 0.731 0.335
O22 O 0.526 0.081 0.917
O23 O 0.727 0.727 0.847
Dy12 Dy 0.115 0.652 0.634
O24 O 0.633 0.633 0.205
O25 O 0.561 0.901 0.079
O26 O 0.996 0.996 0.596
Ti6 Ti 0.105 0.105 0.135
O27 O 0.977 0.401 0.577
O28 O 0.911 0.375 0.779
O29 O 0.976 0.976 0.090
O30 O 0.840 0.376 0.485
Ti7 Ti 0.009 0.513 0.999
O31 O 0.525 0.525 0.405
O32 O 0.808 0.808 0.485
Dy13 Dy 0.749 0.280 0.244
O33 O 0.632 0.257 0.828
Dy14 Dy 0.252 0.252 0.235
Ti8 Ti 0.001 0.496 0.492
O34 O 0.804 0.306 0.145
Dy15 Dy 0.149 0.627 0.113
O35 O 0.043 0.516 0.410
O36 O 0.976 0.976 0.775
Dy16 Dy 0.877 0.877 0.380
O37 O 0.375 0.911 0.779
Dy17 Dy 0.389 0.900 0.880
O38 O 0.641 0.164 0.540
Ti9 Ti 0.758 0.248 0.753
O39 O 0.505 0.505 0.083
O40 O 0.040 0.040 0.906
Dy18 Dy 0.884 0.884 0.875
O41 O 0.819 0.416 0.981
O42 O 0.081 0.526 0.917
O43 O 0.261 0.261 0.139
O44 O 0.206 0.616 0.016
O45 O 0.076 0.076 0.212
O46 O 0.111 0.605 0.730
Dy19 Dy 0.280 0.749 0.244
O47 O 0.777 0.777 0.657
O48 O 0.505 0.505 0.917
O49 O 0.404 0.404 0.269
Ti10 Ti 0.248 0.758 0.753
O50 O 0.299 0.299 0.484
O51 O 0.659 0.030 0.208
O52 O 0.561 0.561 0.730
O53 O 0.416 0.819 0.981
Ti11 Ti 0.513 0.009 0.999
O54 O 0.749 0.749 0.324
Dy20 Dy 0.478 0.478 0.496
Ti12 Ti 0.628 0.628 0.118
```

***

(two)
Density functional theory data (PBE-GGA) for a relaxed structure of Dy10Ti6O27.

Theoretical density: 7.03 Mg/m³
Size of the total moment: 0.00 μB per formula unit
Crystal system: monoclinic
Volume: 12.9 A^3/atom

Structure (CIF):
```
data_Dy10Ti6O27
_symmetry_space_group_name_H-M 'P 1'
_symmetry_Int_Tables_number 1
_cell_length_a 7.427
_cell_length_b 7.427
_cell_length_c 12.553
_cell_angle_alpha 72.04
_cell_angle_beta 72.04
_cell_angle_gamma 58.68
loop_
_symmetry_equiv_pos_as_xyz
'x,y,z'
loop_
_atom_site_label
_atom_site_type_symbol
_atom_site_fract_x
_atom_site_fract_y
_atom_site_fract_z
Dy1 Dy 0.772 0.279 0.731
O1 O 0.143 0.680 0.477
Dy2 Dy 0.746 0.746 0.234
Dy3 Dy 0.516 0.516 0.503
O2 O 0.680 0.143 0.477
Dy4 Dy 0.258 0.750 0.253
Ti1 Ti 0.021 0.495 0.004
O3 O 0.059 0.059 0.342
Ti2 Ti 0.002 0.002 0.506
O4 O 0.880 0.283 0.538
O5 O 0.466 0.974 0.660
O6 O 0.436 0.436 0.187
O7 O 0.268 0.268 0.457
O8 O 0.198 0.627 0.943
O9 O 0.432 0.432 0.690
O10 O 0.789 0.789 0.041
O11 O 0.277 0.834 0.065
Dy5 Dy 0.279 0.772 0.731
Dy6 Dy 0.982 0.982 0.991
O12 O 0.974 0.466 0.660
O13 O 0.920 0.556 0.863
O14 O 0.027 0.608 0.317
O15 O 0.697 0.697 0.499
Ti3 Ti 0.748 0.748 0.757
O16 O 0.237 0.237 0.952
O17 O 0.570 0.570 0.315
O18 O 0.556 0.920 0.863
O19 O 0.834 0.277 0.065
O20 O 0.423 0.999 0.164
O21 O 0.906 0.906 0.674
Dy7 Dy 0.750 0.258 0.253
Ti4 Ti 0.008 0.520 0.494
Dy8 Dy 0.250 0.250 0.768
O22 O 0.587 0.587 0.796
O23 O 0.999 0.423 0.164
O24 O 0.608 0.027 0.317
Ti5 Ti 0.495 0.021 0.004
O25 O 0.283 0.880 0.538
Dy9 Dy 0.520 0.520 0.996
Ti6 Ti 0.520 0.008 0.494
Dy10 Dy 0.258 0.258 0.275
O26 O 0.064 0.064 0.811
O27 O 0.627 0.198 0.943
```

***

(two) ends up most stable, edging out the next structure by 31 meV/atom.

***

(one)
Density functional theory data (PBE-GGA) for a relaxed structure of Sm3Dy.

Theoretical density: 7.59 Mg/m³
Crystal system: hexagonal
Volume: 33.5 A^3/atom

Structure (CIF):
```
data_Sm3Dy
_symmetry_space_group_name_H-M 'P 1'
_symmetry_Int_Tables_number 1
_cell_length_a 7.302
_cell_length_b 7.302
_cell_length_c 5.811
_cell_angle_alpha 90.00
_cell_angle_beta 90.00
_cell_angle_gamma 120.00
loop_
_symmetry_equiv_pos_as_xyz
'x,y,z'
loop_
_atom_site_label
_atom_site_type_symbol
_atom_site_fract_x
_atom_site_fract_y
_atom_site_fract_z
Dy1 Dy 0.667 0.333 0.250
Dy2 Dy 0.333 0.667 0.750
Sm1 Sm 0.667 0.833 0.250
Sm2 Sm 0.167 0.333 0.250
Sm3 Sm 0.833 0.667 0.750
Sm4 Sm 0.333 0.167 0.750
Sm5 Sm 0.833 0.167 0.750
Sm6 Sm 0.167 0.833 0.250
```

***

(two)
Density functional theory data (PBE-GGA) for a relaxed structure of Sm3Dy.

Theoretical density: 7.71 Mg/m³
Crystal system: tetragonal
Volume: 33.0 A^3/atom

Structure (CIF):
```
data_Sm3Dy
_symmetry_space_group_name_H-M 'P 1'
_symmetry_Int_Tables_number 1
_cell_length_a 6.234
_cell_length_b 6.234
_cell_length_c 6.234
_cell_angle_alpha 131.74
_cell_angle_beta 131.74
_cell_angle_gamma 70.63
loop_
_symmetry_equiv_pos_as_xyz
'x,y,z'
loop_
_atom_site_label
_atom_site_type_symbol
_atom_site_fract_x
_atom_site_fract_y
_atom_site_fract_z
Dy1 Dy 0.000 0.000 0.000
Sm1 Sm 0.500 0.500 0.000
Sm2 Sm 0.250 0.750 0.500
Sm3 Sm 0.750 0.250 0.500
```

***

(two) ends up most stable, edging out the next structure by 6 meV/atom.

***

(one)
Density functional theory data (PBE-GGA) for a relaxed structure of Dy5Tl3.

Theoretical density: 10.01 Mg/m³
Crystal system: hexagonal
Volume: 29.6 A^3/atom

Structure (CIF):
```
data_Dy5Tl3
_symmetry_space_group_name_H-M 'P 1'
_symmetry_Int_Tables_number 1
_cell_length_a 8.997
_cell_length_b 8.997
_cell_length_c 6.745
_cell_angle_alpha 90.00
_cell_angle_beta 90.00
_cell_angle_gamma 120.00
loop_
_symmetry_equiv_pos_as_xyz
'x,y,z'
loop_
_atom_site_label
_atom_site_type_symbol
_atom_site_fract_x
_atom_site_fract_y
_atom_site_fract_z
Dy1 Dy 0.000 0.236 0.250
Dy2 Dy 0.000 0.764 0.750
Tl1 Tl 0.000 0.598 0.250
Dy3 Dy 0.667 0.333 0.000
Tl2 Tl 0.598 0.000 0.250
Tl3 Tl 0.402 0.000 0.750
Tl4 Tl 0.598 0.598 0.750
Tl5 Tl 0.000 0.402 0.750
Dy4 Dy 0.236 0.000 0.250
Dy5 Dy 0.764 0.764 0.250
Dy6 Dy 0.667 0.333 0.500
Dy7 Dy 0.236 0.236 0.750
Dy8 Dy 0.764 0.000 0.750
Tl6 Tl 0.402 0.402 0.250
Dy9 Dy 0.333 0.667 0.500
Dy10 Dy 0.333 0.667 0.000
```

***

(two)
Density functional theory data (PBE-GGA) for a relaxed structure of Dy5Tl3.

Theoretical density: 10.11 Mg/m³
Size of the total moment: 0.00 μB per formula unit
Crystal system: tetragonal
Volume: 29.3 A^3/atom

Structure (CIF):
```
data_Dy5Tl3
_symmetry_space_group_name_H-M 'P 1'
_symmetry_Int_Tables_number 1
_cell_length_a 8.049
_cell_length_b 8.049
_cell_length_c 9.201
_cell_angle_alpha 115.94
_cell_angle_beta 115.94
_cell_angle_gamma 90.00
loop_
_symmetry_equiv_pos_as_xyz
'x,y,z'
loop_
_atom_site_label
_atom_site_type_symbol
_atom_site_fract_x
_atom_site_fract_y
_atom_site_fract_z
Dy1 Dy 0.187 0.687 0.698
Dy2 Dy 0.011 0.187 0.698
Dy3 Dy 0.511 0.011 0.698
Tl1 Tl 0.366 0.134 0.000
Tl2 Tl 0.750 0.750 0.500
Dy4 Dy 0.989 0.813 0.302
Dy5 Dy 0.489 0.989 0.302
Dy6 Dy 0.813 0.313 0.302
Tl3 Tl 0.250 0.250 0.500
Dy7 Dy 0.313 0.489 0.302
Tl4 Tl 0.634 0.866 0.000
Tl5 Tl 0.866 0.366 0.000
Dy8 Dy 0.687 0.511 0.698
Tl6 Tl 0.134 0.634 0.000
Dy9 Dy 0.500 0.500 0.000
Dy10 Dy 0.000 0.000 0.000
```

***

(one) ends up most stable, edging out the next structure by 19 meV/atom.